Entry 1:
Compound: ThSb
Source: the Materials Project
Functional: PBE-GGA
Structure: relaxed

Results
calculated volume = 65 Å³/f.u.

Lattice parameters (Å, degrees): 4.507 4.507 4.507 60.00 60.00 60.00
Atoms (fractional coordinates):
Sb  0.000  0.000  0.000
Th  0.500  0.500  0.500



Entry 2:
Compound: ThSb2
Source: the Materials Project
Functional: PBE-GGA
Structure: relaxed

Results
calculated volume = 90 Å³/f.u.

Lattice parameters (Å, degrees): 4.415 4.415 9.184 90.00 90.00 90.00
Atoms (fractional coordinates):
Sb  0.000  0.500  0.365
Th  0.500  0.000  0.277
Sb  0.000  0.000  0.000
Sb  0.500  0.000  0.635
Th  0.000  0.500  0.723
Sb  0.500  0.500  0.000



Entry 3:
Compound: TiSb2
Source: the Materials Project
Functional: PBE-GGA
Structure: relaxed

Results
calculated volume = 66 Å³/f.u.

Lattice parameters (Å, degrees): 5.571 5.571 5.571 105.67 105.67 117.37
Atoms (fractional coordinates):
Ti  0.250  0.250  0.000
Sb  0.153  0.653  0.805
Ti  0.750  0.750  0.000
Sb  0.347  0.153  0.500
Sb  0.653  0.847  0.500
Sb  0.847  0.347  0.195



Entry 4:
Compound: Ti2Sb
Source: the Materials Project
Functional: PBE-GGA
Structure: relaxed

Results
calculated volume = 57 Å³/f.u.

Lattice parameters (Å, degrees): 7.892 7.892 7.892 151.11 151.11 41.31
Atoms (fractional coordinates):
Ti  0.500  0.000  0.500
Sb  0.640  0.640  0.000
Ti  0.830  0.830  0.000
Ti  0.000  0.500  0.500
Ti  0.170  0.170  0.000
Sb  0.360  0.360  0.000



Entry 5:
Compound: U3TiSb5
Source: the Materials Project
Functional: PBE-GGA
Structure: relaxed

Results
calculated volume = 221 Å³/f.u.

Lattice parameters (Å, degrees): 9.138 9.138 6.125 90.00 90.00 120.00
Atoms (fractional coordinates):
Sb  0.667  0.333  0.500
U  0.611  0.611  0.750
Sb  0.000  0.738  0.750
U  0.389  0.000  0.750
Sb  0.738  0.000  0.750
Sb  0.333  0.667  0.000
Sb  0.262  0.000  0.250
Ti  0.000  0.000  0.500
U  0.611  0.000  0.250
Sb  0.000  0.262  0.250
U  0.000  0.611  0.250
U  0.000  0.389  0.750
Sb  0.333  0.667  0.500
Sb  0.738  0.738  0.250
Sb  0.262  0.262  0.750
Sb  0.667  0.333  0.000
U  0.389  0.389  0.250
Ti  0.000  0.000  0.000



Entry 6:
Compound: Tl3Sb
Source: the Materials Project
Functional: PBE-GGA
Structure: relaxed

Results
calculated volume = 124 Å³/f.u.

Lattice parameters (Å, degrees): 4.993 4.993 4.993 90.00 90.00 90.00
Atoms (fractional coordinates):
Tl  0.500  0.000  0.500
Tl  0.500  0.500  0.000
Tl  0.000  0.500  0.500
Sb  0.000  0.000  0.000



Entry 7:
Compound: Tm5Sb3
Source: the Materials Project
Functional: PBE-GGA
Structure: relaxed

Results
calculated volume = 211 Å³/f.u.

Lattice parameters (Å, degrees): 8.849 8.849 6.220 90.00 90.00 120.00
Atoms (fractional coordinates):
Tm  0.755  0.755  0.250
Tm  0.333  0.667  0.000
Tm  0.000  0.245  0.250
Sb  0.390  0.000  0.750
Sb  0.000  0.610  0.250
Sb  0.610  0.000  0.250
Tm  0.333  0.667  0.500
Tm  0.667  0.333  0.500
Tm  0.667  0.333  0.000
Tm  0.245  0.245  0.750
Tm  0.245  0.000  0.250
Tm  0.000  0.755  0.750
Sb  0.000  0.390  0.750
Tm  0.755  0.000  0.750
Sb  0.610  0.610  0.750
Sb  0.390  0.390  0.250



Entry 8:
Compound: Tm5Sb3
Source: the Materials Project
Functional: PBE-GGA
Structure: relaxed

Results
calculated volume = 216 Å³/f.u.

Lattice parameters (Å, degrees): 8.055 9.192 11.693 90.00 90.00 90.00
Atoms (fractional coordinates):
Sb  0.564  0.991  0.826
Tm  0.825  0.250  0.771
Sb  0.096  0.750  0.976
Tm  0.325  0.750  0.729
Tm  0.157  0.250  0.209
Tm  0.343  0.250  0.709
Tm  0.809  0.559  0.066
Sb  0.936  0.509  0.326
Tm  0.525  0.250  0.995
Tm  0.975  0.250  0.495
Sb  0.404  0.750  0.476
Sb  0.904  0.250  0.024
Tm  0.191  0.441  0.934
Sb  0.064  0.491  0.674
Tm  0.691  0.559  0.566
Tm  0.025  0.750  0.505
Tm  0.175  0.750  0.229
Tm  0.691  0.941  0.566
Sb  0.064  0.009  0.674
Tm  0.675  0.250  0.271
Tm  0.309  0.059  0.434
Tm  0.309  0.441  0.434
Tm  0.475  0.750  0.005
Sb  0.596  0.250  0.524
Tm  0.809  0.941  0.066
Tm  0.191  0.059  0.934
Sb  0.436  0.491  0.174
Sb  0.564  0.509  0.826
Tm  0.843  0.750  0.791
Sb  0.936  0.991  0.326
Tm  0.657  0.750  0.291
Sb  0.436  0.009  0.174



Entry 9:
Compound: TmSb3
Source: the Materials Project
Functional: PBE-GGA
Structure: relaxed

Results
calculated volume = 108 Å³/f.u.
spin magnetization = 0.00 μB per formula unit

Lattice parameters (Å, degrees): 6.503 6.503 5.871 90.00 90.00 120.00
Atoms (fractional coordinates):
Sb  0.826  0.652  0.750
Sb  0.348  0.174  0.750
Tm  0.333  0.667  0.750
Sb  0.174  0.826  0.250
Sb  0.174  0.348  0.250
Sb  0.652  0.826  0.250
Tm  0.667  0.333  0.250
Sb  0.826  0.174  0.750



Entry 10:
Compound: TmSb2
Source: the Materials Project
Functional: PBE-GGA
Structure: relaxed

Results
calculated volume = 84 Å³/f.u.
spin magnetization = 0.00 μB per formula unit

Lattice parameters (Å, degrees): 3.594 3.594 7.631 90.00 90.00 121.16
Atoms (fractional coordinates):
Sb  0.500  0.000  0.679
Sb  0.000  0.500  0.321
Tm  0.000  0.000  0.000



Entry 11:
Compound: TmZrSb
Source: the Materials Project
Functional: PBE-GGA
Structure: relaxed

Results
calculated volume = 75 Å³/f.u.

Lattice parameters (Å, degrees): 4.259 4.259 8.751 104.08 104.08 90.00
Atoms (fractional coordinates):
Tm  0.324  0.324  0.649
Zr  0.500  0.000  0.000
Tm  0.676  0.676  0.351
Zr  0.000  0.500  0.000
Sb  0.865  0.865  0.729
Sb  0.135  0.135  0.271



Entry 12:
Compound: USb
Source: the Materials Project
Functional: PBE-GGA
Structure: relaxed

Results
calculated volume = 52 Å³/f.u.

Lattice parameters (Å, degrees): 3.730 3.730 3.730 90.00 90.00 90.00
Atoms (fractional coordinates):
Sb  0.000  0.000  0.000
U  0.500  0.500  0.500



Entry 13:
Compound: USb2
Source: the Materials Project
Functional: PBE-GGA
Structure: relaxed

Results
calculated volume = 81 Å³/f.u.

Lattice parameters (Å, degrees): 4.312 4.312 8.700 90.00 90.00 90.00
Atoms (fractional coordinates):
Sb  0.500  0.000  0.357
U  0.000  0.500  0.282
U  0.500  0.000  0.718
Sb  0.000  0.000  0.000
Sb  0.500  0.500  0.000
Sb  0.000  0.500  0.643



Number 1: formation enthalpy at 0 K -0.9993 eV per atom. Number 2: formation enthalpy at 0 K -0.8987 eV per atom. Number 3: formation enthalpy at 0 K -0.5190 eV per atom. Number 4: formation enthalpy at 0 K -0.5323 eV per atom. Number 5: formation enthalpy at 0 K -0.5066 eV per atom. Number 6: formation enthalpy at 0 K -0.0577 eV per atom. Number 7: formation enthalpy at 0 K -0.9278 eV per atom. Number 8: formation enthalpy at 0 K -0.9258 eV per atom. Number 9: formation enthalpy at 0 K -0.4824 eV per atom. Number 10: formation enthalpy at 0 K -0.3129 eV per atom. Number 11: formation enthalpy at 0 K -0.8253 eV per atom. Number 12: formation enthalpy at 0 K -0.3073 eV per atom. Number 13: formation enthalpy at 0 K -0.3858 eV per atom.